Record 1
16
Lattice="-4.4527 3.0176 0.9523 -2.3705 -1.5592 -6.1435 -5.6622 -9.8320 4.6802" Properties=species:S:1:pos:R:3 comment="PBE-GGA BaMg6Bi, relaxed" formation_energy_ev_per_fu=-0.1 e_tot_ev_per_atom=-1.9412 polymorph_energy_mev_per_atom=0 total_magnetization_mub_per_atom=0.001 pbc="T T T"
Mg -3.8163 -6.0196 1.2305
Mg -1.0448 -1.1428 -1.2640
Ba -3.1824 -0.1513 1.2663
Mg -5.9748 -9.0963 0.8871
Mg -4.7429 -8.2358 3.9203
Mg -2.1704 -1.8832 -4.1813
Mg -5.0611 -6.8384 -1.9956
Ba -7.1987 -5.8469 0.5347
Mg -1.9584 -3.4007 1.6188
Bi -5.9819 -5.0124 3.5803
Mg -3.0971 -4.0994 -1.4915
Mg -8.0223 -7.9079 3.2145
Mg -6.3765 -3.7715 -2.1973
Mg -5.1756 -2.9816 0.9149
Mg -9.1920 -8.6772 0.1833
Bi -4.3360 -0.8760 -1.8315

---

Record 2
5
Lattice="-0.9609 3.6313 3.1970 1.3294 1.0751 -4.6268 -8.0195 -0.0776 -2.3222" Properties=species:S:1:pos:R:3 comment="PBE-GGA BaMg2Bi2, relaxed" formation_energy_ev_per_fu=-3.0 e_tot_ev_per_atom=-3.1841 spacegroup="P-3m1 (164)" pbc="T T T"
Mg -5.1924 2.7309 -0.8573
Mg -2.4587 1.8979 -2.8947
Bi -5.3357 1.8701 -3.7278
Bi -2.3154 2.7588 -0.0242
Ba 0.0000 0.0000 0.0000

---

Record 3
16
Lattice="5.2015 0.0000 0.0000 0.0000 7.2268 0.0000 0.0000 0.0000 12.2341" Properties=species:S:1:pos:R:3 comment="PBE-GGA BaMg6Bi, relaxed" formation_energy_ev_per_fu=-0.1 e_tot_ev_per_atom=-1.9343 polymorph_energy_mev_per_atom=7 total_magnetization_mub_per_atom=0.000 pbc="T T T"
Mg 0.0000 1.8006 0.9496
Mg 0.0000 1.8128 7.0666
Mg 2.6007 5.1715 11.3515
Ba 0.0000 3.6134 4.0376
Mg 0.0000 3.6134 10.3157
Mg 2.6007 2.0553 11.3515
Bi 2.6007 3.6134 1.8007
Bi 2.6007 0.0000 7.9177
Mg 2.6007 5.6687 5.2344
Mg 2.6007 3.6134 8.1802
Mg 0.0000 5.4139 7.0666
Mg 0.0000 5.4262 0.9496
Mg 2.6007 0.0000 2.0632
Mg 0.0000 0.0000 4.1987
Mg 2.6007 1.5581 5.2344
Ba 0.0000 0.0000 10.1546

---

Record 4
64
Lattice="8.7646 0.0000 0.0000 0.0000 8.7733 0.0000 0.0000 0.0000 8.7733" Properties=species:S:1:pos:R:3 comment="PBE-GGA BaMg30BiO32, relaxed" energy_mp2020_ev_per_cell=-393.912 formation_energy_ev_per_fu=-181.8 e_tot_ev_per_atom=-5.8114 spacegroup="P4/mmm (123)" total_magnetization_mub_per_atom=0.000 pbc="T T T"
Mg 4.3823 4.3867 0.0000
O 0.0000 2.4320 0.0000
O 0.0000 4.3867 6.7026
Mg 4.3823 4.3867 4.3867
Mg 0.0000 6.5780 2.1954
Bi 0.0000 4.3867 4.3867
O 6.4973 4.3867 0.0000
Mg 2.2621 4.3867 2.1344
Mg 2.2675 0.0000 6.5208
Mg 0.0000 4.3867 0.0000
O 4.3823 0.0000 6.5281
O 6.5824 6.5762 2.1972
Mg 2.2621 2.1344 4.3867
O 4.3823 4.3867 2.1821
O 4.3823 2.1821 4.3867
Mg 4.3823 0.0000 4.3867
O 2.1822 2.1972 6.5762
O 0.0000 6.3414 0.0000
Mg 0.0000 2.1954 6.5780
O 4.3823 2.2453 0.0000
Mg 2.2675 2.2526 0.0000
Mg 4.3823 2.1911 6.5822
Ba 0.0000 0.0000 0.0000
O 4.3823 4.3867 6.5912
Mg 4.3823 2.1911 2.1911
O 6.3208 0.0000 0.0000
O 4.3823 6.5912 4.3867
O 2.2673 0.0000 4.3867
Mg 2.2621 6.6390 4.3867
Mg 2.2675 0.0000 2.2526
Mg 2.2621 4.3867 6.6390
Mg 6.5025 4.3867 6.6390
O 6.4123 4.3867 4.3867
Mg 6.5025 6.6390 4.3867
Mg 0.0000 0.0000 4.3867
O 2.1822 6.5762 2.1972
Mg 4.3823 6.5822 2.1911
Mg 6.5025 2.1344 4.3867
O 6.5824 6.5762 6.5762
O 0.0000 2.0707 4.3867
O 2.2673 4.3867 0.0000
O 0.0000 0.0000 2.4320
O 2.1822 2.1972 2.1972
Mg 4.3823 0.0000 0.0000
O 0.0000 6.7026 4.3867
O 6.5824 2.1972 2.1972
Mg 6.4971 0.0000 6.5208
O 4.3823 0.0000 2.2453
O 6.4973 0.0000 4.3867
Mg 6.4971 6.5208 0.0000
O 4.3823 6.5281 0.0000
Mg 2.2675 6.5208 0.0000
Mg 6.4971 2.2526 0.0000
Mg 6.4971 0.0000 2.2526
O 2.1822 6.5762 6.5762
Mg 0.0000 2.1954 2.1954
O 0.0000 0.0000 6.3414
O 2.3523 4.3867 4.3867
O 6.5824 2.1972 6.5762
Mg 0.0000 6.5780 6.5780
Mg 4.3823 6.5822 6.5822
O 0.0000 4.3867 2.0707
O 2.4438 0.0000 0.0000
Mg 6.5025 4.3867 2.1344

---

Record 5
11
Lattice="5.9250 0.2659 3.2031 2.2257 5.4974 3.2031 0.0000 0.0000 6.4062" Properties=species:S:1:pos:R:3 comment="PBE-GGA Ba2MgBi2O6, relaxed" energy_mp2020_ev_per_cell=-64.972 formation_energy_ev_per_fu=-22.1 e_tot_ev_per_atom=-5.5318 polymorph_energy_mev_per_atom=294 spacegroup="I4/mmm (139)" total_magnetization_mub_per_atom=0.000 pbc="T T T"
O 2.0366 1.4402 6.4062
Ba 1.5575 1.1015 3.2031
Bi 0.0000 0.0000 0.0000
Mg 4.0754 2.8816 3.2031
O 3.2303 4.0767 4.6667
O 3.2303 4.0767 8.1457
Ba 6.5933 4.6618 9.6093
Bi 4.0754 2.8816 6.4062
O 4.9205 1.6866 4.6667
O 6.1141 4.3231 6.4062
O 4.9205 1.6866 8.1457

---

Record 6
11
Lattice="0.1816 -6.0744 -0.0727 4.4046 -2.8713 -3.1215 5.4015 -2.9300 4.2716" Properties=species:S:1:pos:R:3 comment="PBE-GGA Ba2MgBi2O6, relaxed" energy_mp2020_ev_per_cell=-67.940 formation_energy_ev_per_fu=-25.0 e_tot_ev_per_atom=-5.8017 polymorph_energy_mev_per_atom=25 spacegroup="Cm (8)" total_magnetization_mub_per_atom=0.000 pbc="T T T"
Bi 4.8958 -5.9432 0.7482
Ba 1.4708 -2.9885 -0.6567
Ba 7.0889 -8.9206 0.9687
O 4.9309 -7.5011 2.2783
Bi 5.3452 -8.9337 -2.2971
O 2.3017 -6.0028 -0.7549
Mg 3.4229 -2.9672 2.4437
O 4.8389 -4.4231 2.3151
O 6.1433 -4.4455 -1.2384
O 6.2291 -7.3159 -1.2727
O 7.0717 -5.8826 1.1203

---

Record 7
11
Lattice="6.4264 0.3360 4.2230 2.5830 5.2129 4.1169 0.7957 0.3630 7.1815" Properties=species:S:1:pos:R:3 comment="PBE-GGA Ba2MgBi2O6, relaxed" energy_mp2020_ev_per_cell=-68.211 formation_energy_ev_per_fu=-25.3 e_tot_ev_per_atom=-5.8263 polymorph_energy_mev_per_atom=0 spacegroup="P1 (1)" total_magnetization_mub_per_atom=0.000 pbc="T T T"
O 5.9971 5.2581 8.7297
Bi 5.2973 3.2679 8.5851
O 2.9050 1.3137 7.2817
O 5.7704 1.8187 5.6758
O 7.1185 2.4631 9.2303
Mg 3.7371 2.0549 5.4930
Ba 1.7225 1.1285 2.8321
Bi 3.5800 5.5057 11.3133
O 3.3005 4.0371 5.9520
Ba 7.2178 4.2968 11.2069
O 4.5238 3.2488 10.5903

---

Record 8
11
Lattice="5.4039 0.0000 3.1128 1.2610 5.3460 4.0580 -0.6086 0.8090 7.3038" Properties=species:S:1:pos:R:3 comment="PBE-GGA Ba2MgBi2O6, relaxed" energy_mp2020_ev_per_cell=-66.368 formation_energy_ev_per_fu=-23.5 e_tot_ev_per_atom=-5.6588 polymorph_energy_mev_per_atom=168 spacegroup="C2/m (12)" total_magnetization_mub_per_atom=0.002 pbc="T T T"
O 4.1424 3.2104 5.3028
O 1.9105 4.9415 6.2652
O 1.9138 2.9446 9.1718
Ba 4.7626 4.5218 10.4734
Mg 2.7020 0.0000 1.5564
O 4.1458 1.2135 8.2094
Ba 1.2937 1.6333 4.0012
O 1.6265 1.2135 6.7582
Bi 3.0281 3.0775 7.2373
Bi 0.0000 0.0000 0.0000
O 4.4298 4.9415 7.7164

---

Record 9
20
Lattice="-4.3190 4.3190 4.3190 4.3190 -4.3190 4.3190 4.3190 4.3190 -4.3190" Properties=species:S:1:pos:R:3 comment="PBE-GGA Ba4MgBi3O12, relaxed" energy_mp2020_ev_per_cell=-126.649 formation_energy_ev_per_fu=-46.3 e_tot_ev_per_atom=-5.9202 spacegroup="Im-3m (229)" total_magnetization_mub_per_atom=0.002 pbc="T T T"
O 0.0000 6.4561 0.0000
Ba -2.1595 2.1595 2.1595
O 2.1820 0.0000 0.0000
O 2.1595 4.3190 0.0000
O 0.0000 2.1820 0.0000
O 4.3190 0.0000 2.1595
O 0.0000 2.1595 4.3190
O 0.0000 0.0000 2.1820
O 0.0000 4.3190 2.1595
Ba 2.1595 -2.1595 2.1595
O 0.0000 0.0000 6.4561
O 2.1595 0.0000 4.3190
Bi 4.3190 0.0000 0.0000
O 6.4561 0.0000 0.0000
Bi 0.0000 0.0000 4.3190
Bi 0.0000 4.3190 0.0000
Mg 0.0000 0.0000 0.0000
O 4.3190 2.1595 0.0000
Ba 2.1595 2.1595 2.1595
Ba 2.1595 2.1595 -2.1595

---

Record 10
11
Lattice="5.3370 -0.0971 3.1461 1.6874 5.0641 3.1461 -0.6645 -0.4699 7.4665" Properties=species:S:1:pos:R:3 comment="PBE-GGA Ba2MgBi2O6, relaxed" energy_mp2020_ev_per_cell=-67.422 formation_energy_ev_per_fu=-24.5 e_tot_ev_per_atom=-5.7546 polymorph_energy_mev_per_atom=72 spacegroup="Cm (8)" total_magnetization_mub_per_atom=0.000 pbc="T T T"
O 2.6145 3.7984 5.3473
Bi -0.1271 -0.0899 6.7245
O 5.0385 3.5628 6.8750
Ba 1.8124 1.2815 3.2305
O 4.4527 1.1988 5.3473
O 1.3765 0.9733 5.7300
O 3.4238 0.4644 8.9479
Ba 4.3008 3.0411 11.5677
Mg 6.1691 4.3622 8.1643
Bi 3.2053 2.2665 6.8811
O 1.5791 3.0732 8.9479

---

Record 11
11
Lattice="-3.1941 0.2679 5.3589 3.3051 2.4265 5.4866 0.2204 6.5041 3.4442" Properties=species:S:1:pos:R:3 comment="PBE-GGA Ba2MgBiSbO6, relaxed" energy_mp2020_ev_per_cell=-68.589 formation_energy_ev_per_fu=-25.4 e_tot_ev_per_atom=-5.8606 spacegroup="C2/m (12)" total_magnetization_mub_per_atom=0.000 pbc="T T T"
O -0.4702 4.8956 5.1895
Bi 0.0000 0.0000 0.0000
O -0.1033 2.6264 7.0832
Ba 0.0705 6.5130 10.6304
O 0.8016 4.3029 9.1002
Ba 0.2609 2.6855 3.6593
Sb 0.1657 4.5993 7.1448
Mg -1.5970 0.1340 2.6794
O 2.1725 4.1879 6.8001
O 0.4346 6.5721 7.2065
O -1.8412 5.0106 7.4896

---

Record 12
11
Lattice="5.4455 0.0000 3.1401 1.6622 5.2077 3.4093 -0.2241 0.1884 6.6804" Properties=species:S:1:pos:R:3 comment="PBE-GGA Ba2TbMgBiO6, relaxed" energy_mp2020_ev_per_cell=-72.193 formation_energy_ev_per_fu=-28.5 e_tot_ev_per_atom=-6.1883 polymorph_energy_mev_per_atom=77 spacegroup="C2/m (12)" total_magnetization_mub_per_atom=0.000 pbc="T T T"
Ba 2.2115 4.2178 8.7484
Ba 4.6720 1.1783 4.4815
O 5.3118 3.4570 6.2462
O 1.5145 0.8080 3.6654
Tb 0.7190 2.6980 5.0449
Mg 3.4418 2.6980 6.6149
O 4.0594 1.9390 8.4181
Bi 2.7227 0.0000 1.5701
O 1.5718 1.9390 6.9836
O 5.3690 4.5881 9.5645
O 2.8242 3.4570 4.8117

---

Record 13
11
Lattice="5.5106 0.0000 3.1777 1.6765 6.0218 3.4597 0.0318 0.3573 6.3117" Properties=species:S:1:pos:R:3 comment="PBE-GGA Ba2TbMgBiO6, relaxed" energy_mp2020_ev_per_cell=-73.037 formation_energy_ev_per_fu=-29.4 e_tot_ev_per_atom=-6.2650 polymorph_energy_mev_per_atom=0 spacegroup="Cm (8)" total_magnetization_mub_per_atom=0.000 pbc="T T T"
O 2.5691 4.2057 4.7458
Bi 2.8161 0.6049 7.8504
O 1.6522 0.8737 3.5019
O 1.5590 2.1025 6.8046
O 5.6268 4.2057 6.5090
Mg 6.4919 5.3333 7.8429
Ba 4.6502 2.7060 4.6698
Tb 0.9606 2.4655 4.7011
O 5.5340 5.3959 9.5040
O 4.3509 2.1025 8.4145
Ba 2.8422 4.4702 7.8051

---

Record 14
104
Lattice="-9.4670 9.4670 12.3819 9.4670 -9.4670 12.3819 9.4670 9.4670 -12.3819" Properties=species:S:1:pos:R:3 comment="PBE-GGA Ba14MnBi11, relaxed" formation_energy_ev_per_fu=-22.8 e_tot_ev_per_atom=-3.9096 spacegroup="I4_1/acd (142)" total_magnetization_mub_per_atom=0.155 pbc="T T T"
Ba 3.3641 8.6430 1.1715
Bi 9.5200 6.9356 10.9296
Mn 9.4670 0.0000 6.1910
Bi 4.2448 -2.5115 8.1289
Bi 2.4810 11.9480 0.0000
Ba 12.8903 -2.9908 6.9718
Mn 0.0000 9.4670 6.1910
Bi 6.9859 -2.4810 12.3819
Ba 12.8311 0.8239 1.1715
Ba 6.7518 -4.7335 9.2864
Bi 5.2222 11.9785 -4.2530
Bi 9.4139 -6.9356 10.9296
Ba -0.3926 7.0944 3.1222
Bi 2.4810 6.9859 12.3819
Ba 2.7152 14.2004 -3.0955
Ba 3.3641 0.8239 17.4014
Ba 2.9908 15.5105 0.7809
Ba 6.4761 6.0436 0.7809
Bi -2.5115 4.2448 4.2530
Ba -0.8239 6.1028 11.2105
Ba 0.3926 2.3726 3.0688
Ba -0.3926 16.5613 3.0688
Bi 13.7117 2.5115 -1.9380
Bi 0.0000 0.0000 6.1910
Bi 2.4810 -2.4810 18.5729
Bi -5.2222 11.9785 8.1289
Ba 3.4234 12.4578 6.9718
Ba 9.8595 -2.3726 3.1222
Bi 2.5115 4.2448 16.6349
Bi -4.2448 6.9554 10.4440
Ba 7.0944 9.8595 9.3132
Ba 11.8396 0.3926 9.2597
Ba -2.9908 12.8903 5.4101
Ba 6.1029 -0.8239 1.1715
Ba 2.9908 3.4234 13.1628
Ba 0.3926 11.8395 3.1222
Ba 4.7335 12.1821 3.0955
Bi 0.0000 0.0000 18.5729
Bi 16.4026 -0.0530 1.4523
Ba 9.0744 2.3726 3.1222
Ba 2.9908 6.0436 5.4101
Bi 2.5115 14.6891 4.2530
Bi 0.0000 9.4670 0.0000
Ba 2.3726 9.0744 9.2597
Ba 7.0944 -0.3926 9.2598
Bi 11.9785 4.2448 1.9380
Bi 2.5115 5.2222 1.9380
Bi 6.9859 2.4810 0.0000
Bi 4.2448 6.9554 -1.9380
Bi -2.5313 9.4139 4.7387
Bi 5.2222 6.9554 8.1289
Ba 12.4578 3.4234 5.4101
Ba 6.0436 6.4761 11.6011
Bi 2.4810 2.4810 6.1910
Bi 2.5313 9.5200 4.7387
Ba 0.8239 3.3641 19.7444
Bi -0.0530 11.9983 7.6433
Ba 10.2909 3.3641 -1.1715
Ba 4.7335 6.7518 15.4774
Bi 5.2222 2.5115 10.4440
Bi 6.9554 4.2448 14.3199
Bi -2.4810 2.4810 18.5729
Ba 6.1029 0.8239 13.5534
Bi 2.5313 0.0530 1.4523
Ba 10.2909 6.1029 -5.0195
Ba -2.3726 9.8595 9.2598
Ba 3.3641 -0.8239 5.0195
Bi 0.0530 6.9356 7.6433
Ba 6.4761 -3.4234 5.4101
Bi 9.4139 -2.5313 7.6433
Ba 3.4234 2.9908 -0.7809
Ba 4.7335 2.7152 3.0955
Bi 9.4670 0.0000 0.0000
Bi 9.4139 6.9356 -1.4523
Ba 6.0436 12.4578 -0.7809
Mn 0.0000 0.0000 12.3819
Bi 11.9983 -0.0530 4.7387
Ba 7.0944 9.0744 -3.0688
Bi 9.5200 2.5313 7.6433
Ba 6.4761 -6.0436 13.1628
Mn 0.0000 0.0000 0.0000
Ba 10.2909 -3.3641 11.2105
Ba 8.6430 3.3641 11.2105
Ba 8.6430 6.1029 7.3624
Ba 2.3726 0.3926 9.3131
Bi 2.5313 -0.0530 13.8342
Ba -7.0944 9.0744 9.3131
Ba 6.0436 2.9908 6.9718
Ba -3.4234 6.4761 6.9718
Ba 6.7518 4.7335 -3.0955
Ba -0.3926 2.3726 15.4507
Bi 6.9356 0.0530 4.7387
Ba -0.8239 3.3641 7.3624
Ba 6.1029 10.2909 -7.3624
Bi 0.0530 2.5313 10.9296
Bi -2.5115 5.2222 14.3199
Ba 2.7152 4.7335 9.2864
Bi 6.9356 9.5200 1.4523
Bi 6.9859 6.9859 -6.1910
Ba 6.1028 8.6430 5.0195
Ba 9.8595 7.0944 3.0688
Ba 4.7335 -2.7152 15.4774
Bi 6.9554 5.2222 4.2530
Ba 3.4234 -2.9908 11.6011